1.
Material: BaCoO3
Method: DFT, r²SCAN
State: relaxed Values from VASP.

The structure in Quantum ESPRESSO input format:
```
&SYSTEM
  ibrav = 0, nat = 20, ntyp = 3
/
ATOMIC_SPECIES
O 16.00 O.upf
Ba 137.33 Ba.upf
Co 58.93 Co.upf
CELL_PARAMETERS angstrom
5.684 0.000 -0.008
2.842 4.923 -0.010
-0.015 -0.014 9.416
ATOMIC_POSITIONS crystal
O 0.293 0.853 0.000
O 0.702 0.149 0.750
O 0.149 0.149 0.751
O 0.149 0.149 0.251
O 0.853 0.853 0.999
O 0.293 0.853 0.500
O 0.702 0.149 0.250
O 0.853 0.853 0.499
O 0.149 0.702 0.750
O 0.853 0.293 0.000
O 0.149 0.702 0.250
O 0.854 0.293 0.501
Ba 0.667 0.667 0.250
Ba 0.334 0.333 0.500
Ba 0.333 0.333 0.000
Ba 0.667 0.667 0.750
Co 0.000 0.000 0.373
Co 0.000 0.000 0.627
Co 0.000 0.000 0.873
Co 0.000 0.000 0.127
```

* energy: -13.54 eV per atom
* formation energy from the elements: -2.012 eV/atom

2.
Material: Ba2Co9O14
Method: DFT, r²SCAN
State: relaxed Values from VASP.

The structure in Quantum ESPRESSO input format:
```
&SYSTEM
  ibrav = 0, nat = 25, ntyp = 3
/
ATOMIC_SPECIES
Ba 137.33 Ba.upf
Co 58.93 Co.upf
O 16.00 O.upf
CELL_PARAMETERS angstrom
2.845 1.643 9.586
-2.845 1.643 9.586
0.000 -3.285 9.586
ATOMIC_POSITIONS crystal
Ba 0.116 0.116 0.116
Ba 0.884 0.884 0.884
Co 0.000 0.000 0.000
Co 0.000 0.500 0.500
Co 0.232 0.232 0.232
Co 0.413 0.413 0.413
Co 0.500 0.000 0.500
Co 0.500 0.500 0.000
Co 0.500 0.500 0.500
Co 0.587 0.587 0.587
Co 0.768 0.768 0.768
O 0.158 0.605 0.605
O 0.217 0.217 0.678
O 0.217 0.678 0.217
O 0.299 0.299 0.299
O 0.322 0.783 0.783
O 0.395 0.395 0.842
O 0.395 0.842 0.395
O 0.605 0.158 0.605
O 0.605 0.605 0.158
O 0.678 0.217 0.217
O 0.701 0.701 0.701
O 0.783 0.322 0.783
O 0.783 0.783 0.322
O 0.842 0.395 0.395
```

* energy: -11.80 eV per atom
* formation energy from the elements: -1.574 eV/atom

3.
Material: Ba5Co5O14
Method: DFT, r²SCAN
State: relaxed Values from VASP.

The structure in Quantum ESPRESSO input format:
```
&SYSTEM
  ibrav = 0, nat = 24, ntyp = 3
/
ATOMIC_SPECIES
Ba 137.33 Ba.upf
Co 58.93 Co.upf
O 16.00 O.upf
CELL_PARAMETERS angstrom
5.661 0.000 0.000
2.820 4.912 0.000
0.016 0.015 11.909
ATOMIC_POSITIONS crystal
Ba 0.000 0.000 0.000
Ba 0.333 0.333 0.227
Ba 0.334 0.334 0.582
Ba 0.666 0.666 0.418
Ba 0.667 0.667 0.773
Co 0.000 0.000 0.500
Co 0.001 0.001 0.708
Co 0.333 0.333 0.859
Co 0.667 0.667 0.141
Co 0.999 0.999 0.292
O 0.143 0.143 0.398
O 0.146 0.707 0.397
O 0.161 0.161 0.802
O 0.161 0.677 0.802
O 0.292 0.855 0.603
O 0.323 0.839 0.198
O 0.333 0.333 0.005
O 0.667 0.667 0.995
O 0.677 0.161 0.802
O 0.708 0.145 0.397
O 0.839 0.323 0.198
O 0.839 0.839 0.198
O 0.854 0.293 0.603
O 0.857 0.857 0.602
```

* energy: -13.79 eV per atom
* formation energy from the elements: -2.033 eV/atom